Computed, not measured: Na3Ti2P3O12 after structural relaxation at the PBE level of DFT.

Formation energy from the elements: -56.4 eV per formula unit
DFT total energy: -287.04 eV per cell

POSCAR file:
```
Na3Ti2P3O12
1.0
4.450 2.569 7.571
-4.450 2.569 7.571
0.000 -5.138 7.571
Na Ti P O
6 4 6 24
Cartesian
-1.118 -2.385 10.042
-2.624 -0.224 12.672
-1.506 2.160 10.042
1.506 -2.160 12.672
2.624 0.224 10.042
1.118 2.385 12.672
0.000 0.000 3.400
0.000 0.000 8.003
0.000 0.000 14.711
0.000 0.000 19.314
-3.173 -0.366 9.436
-1.270 -2.931 13.278
1.904 -2.565 9.436
-1.904 2.565 13.278
1.270 2.931 9.436
3.173 0.366 13.278
-3.200 -1.400 10.617
-3.998 0.886 9.813
-2.766 -3.020 12.900
-0.717 -1.566 6.988
-1.668 -0.008 9.293
-0.388 -3.471 12.097
-0.998 1.404 6.988
1.232 -3.905 9.813
-2.813 2.071 12.097
-0.827 -1.449 13.421
0.841 -1.440 9.293
-1.715 -0.162 15.726
1.715 0.162 6.988
-0.841 1.440 13.421
0.827 1.449 9.293
2.813 -2.071 10.617
-1.232 3.905 12.900
0.998 -1.404 15.726
0.388 3.471 10.617
1.668 0.008 13.421
0.717 1.566 15.726
2.766 3.020 9.813
3.998 -0.886 12.900
3.200 1.400 12.097
```